1.
Material: LuMgAg2
Method: DFT, PBE
State: optimized geometry

Properties
Formation energy in eV per atom: -0.3053
Calculated volume in Å³ per atom: 20.8
Space-group type: Fm-3m, No. 225
Theoretical density in g/cm3: 8.30

Cell: 4.897 4.897 4.897 Å, 60.00 60.00 60.00°
Element x y z (fractional)
Lu 0.000 0.000 0.000
Mg 0.500 0.500 0.500
Ag 0.250 0.250 0.250
Ag 0.750 0.750 0.750



2.
Material: LuAgO2
Method: DFT, PBE
State: optimized geometry

Properties
Formation energy in eV per atom: -2.7117
Calculated volume in Å³ per atom: 15.9
Space-group type: R-3m, No. 166
Theoretical density in g/cm3: 8.24

Cell: 6.560 6.560 6.560 Å, 30.23 30.23 30.23°
Element x y z (fractional)
Lu 0.000 0.000 0.000
Ag 0.500 0.500 0.500
O 0.388 0.388 0.388
O 0.612 0.612 0.612



3.
Material: LuTa5Ag2O15
Method: DFT, PBE
State: optimized geometry

Properties
Formation energy in eV per atom: -2.9812
Calculated volume in Å³ per atom: 13.4
Space-group type: P4/mbm, No. 127
Theoretical density in g/cm3: 8.24
Total magnetic moment in μB/cell: 0.005

Cell: 12.574 12.574 3.912 Å, 90.00 90.00 90.00°
Element x y z (fractional)
Lu 0.000 0.000 0.000
Lu 0.500 0.500 0.000
Ta 0.000 0.500 0.500
Ta 0.079 0.210 0.500
Ta 0.210 0.921 0.500
Ta 0.290 0.421 0.500
Ta 0.421 0.710 0.500
Ta 0.500 0.000 0.500
Ta 0.579 0.290 0.500
Ta 0.710 0.579 0.500
Ta 0.790 0.079 0.500
Ta 0.921 0.790 0.500
Ag 0.172 0.672 0.000
Ag 0.328 0.172 0.000
Ag 0.672 0.828 0.000
Ag 0.828 0.328 0.000
O 0.000 0.500 0.000
O 0.001 0.659 0.500
O 0.056 0.871 0.500
O 0.080 0.188 0.000
O 0.129 0.056 0.500
O 0.159 0.501 0.500
O 0.188 0.920 0.000
O 0.225 0.275 0.500
O 0.275 0.775 0.500
O 0.312 0.420 0.000
O 0.341 0.001 0.500
O 0.371 0.556 0.500
O 0.420 0.688 0.000
O 0.444 0.371 0.500
O 0.499 0.159 0.500
O 0.500 0.000 0.000
O 0.501 0.841 0.500
O 0.556 0.629 0.500
O 0.580 0.312 0.000
O 0.629 0.444 0.500
O 0.659 0.999 0.500
O 0.688 0.580 0.000
O 0.725 0.225 0.500
O 0.775 0.725 0.500
O 0.812 0.080 0.000
O 0.841 0.499 0.500
O 0.871 0.944 0.500
O 0.920 0.812 0.000
O 0.944 0.129 0.500
O 0.999 0.341 0.500



4.
Material: Lu2AgOs
Method: DFT, PBE
State: optimized geometry

Properties
Formation energy in eV per atom: -0.3698
Calculated volume in Å³ per atom: 20.1
Space-group type: Fm-3m, No. 225
Theoretical density in g/cm3: 13.36

Cell: 4.848 4.848 4.848 Å, 60.00 60.00 60.00°
Element x y z (fractional)
Lu 0.250 0.250 0.250
Lu 0.750 0.750 0.750
Ag 0.000 0.000 0.000
Os 0.500 0.500 0.500